Nd4Fe29Si5 GGA-PBE relaxed; symmetry = P-1, No. 2; total energy = -7.74 eV/atom; V = 517.2 Å³/cell; formation energy = -0.054 eV per atom; total magnetic moment = 57.63 Bohr magnetons per cell
1.0
-6.3013 -1.0822 -0.5570
-0.7503 -3.4854 5.3827
-4.1560 9.4541 7.5791
Nd Fe Si
4 29 5
Direct
0.3453 0.3468 0.6735
0.3478 0.3442 0.1730
0.6522 0.6558 0.8270
0.6547 0.6532 0.3265
0.2872 0.7075 0.9997
0.2869 0.7141 0.4999
0.9998 0.2914 0.8563
0.0003 0.2873 0.3561
0.7138 0.0003 0.6432
0.7167 0.9998 0.1416
0.9997 0.7127 0.6439
0.0002 0.7086 0.1437
0.2833 0.0002 0.8584
0.2862 0.9997 0.3568
0.7128 0.2925 0.0003
0.7131 0.2859 0.5001
0.6616 0.6615 0.5774
0.6640 0.6659 0.0754
0.1506 0.6647 0.8322
0.1543 0.6622 0.3308
0.6598 0.1604 0.8298
0.6609 0.1542 0.3302
0.3360 0.3341 0.9246
0.3384 0.3385 0.4226
0.8457 0.3378 0.6692
0.8494 0.3353 0.1678
0.3391 0.8458 0.6698
0.3402 0.8396 0.1702
0.9992 0.9993 0.7502
0.0008 0.0007 0.2498
0.5000 0.0000 0.0000
0.5000 0.0000 0.5000
0.0000 0.5000 0.5000
0.0000 0.5000 0.0000
0.1012 0.1011 0.5506
0.1085 0.0807 0.0542
0.8915 0.9193 0.9458
0.8988 0.8989 0.4494

***

Sr4Pt4PbO11 GGA-PBE relaxed; symmetry = P-1, No. 2; total energy = -6.05 eV/atom; V = 596.5 Å³/cell; formation energy = -1.964 eV per atom; total magnetic moment = 0.00 Bohr magnetons per cell
1.0
5.7651 0.0000 0.0000
0.0013 10.1232 0.0000
0.0311 0.0806 10.2206
Sr Pt Pb O
8 8 2 22
Direct
0.2502 0.1244 0.9530
0.2488 0.0339 0.6051
0.7509 0.6156 0.4843
0.2511 0.4671 0.8727
0.7489 0.5329 0.1273
0.2491 0.3844 0.5157
0.7498 0.8756 0.0470
0.7512 0.9661 0.3949
0.2492 0.3712 0.1841
0.7498 0.2030 0.1073
0.7508 0.6288 0.8159
0.7492 0.2929 0.3541
0.7505 0.8769 0.7235
0.2508 0.7071 0.6459
0.2502 0.7970 0.8927
0.2495 0.1231 0.2765
0.7157 0.2553 0.7290
0.2843 0.7447 0.2710
0.6764 0.7474 0.2636
0.2499 0.6320 0.4636
0.0032 0.3323 0.0443
0.9958 0.4323 0.3095
0.7551 0.0555 0.6341
0.0091 0.9389 0.8493
0.2449 0.9445 0.3659
0.5015 0.6667 0.9546
0.0124 0.1713 0.4157
0.4985 0.3333 0.0454
0.5113 0.8309 0.5853
0.7501 0.3680 0.5364
0.0042 0.5677 0.6905
0.4944 0.9380 0.8516
0.9909 0.0611 0.1507
0.4887 0.1691 0.4147
0.3236 0.2526 0.7364
0.9876 0.8287 0.5843
0.4998 0.5693 0.6898
0.5056 0.0620 0.1484
0.9968 0.6677 0.9557
0.5002 0.4307 0.3102

***

Ba3Si2As4 GGA-PBE relaxed; symmetry = C2/c, No. 15; total energy = -4.72 eV/atom; V = 565.0 Å³/cell; formation energy = -0.807 eV per atom
1.0
-7.8954 -4.8886 -3.9443
9.4185 -3.5853 -0.4792
-0.2424 -6.8514 3.7882
Ba Si As
6 4 8
Direct
0.9422 0.0578 0.7500
0.0578 0.9422 0.2500
0.5646 0.4354 0.2500
0.4354 0.5646 0.7500
0.8103 0.1897 0.2500
0.1897 0.8103 0.7500
0.4660 0.8296 0.1566
0.1704 0.5340 0.3434
0.5340 0.1704 0.8434
0.8296 0.4660 0.6566
0.4455 0.0491 0.2035
0.9509 0.5545 0.2965
0.1885 0.3338 0.2542
0.6662 0.8115 0.2458
0.8115 0.6662 0.7458
0.3338 0.1885 0.7542
0.0491 0.4455 0.7035
0.5545 0.9509 0.7965